Entry 1:
## LiSc4Si4O14 (PBE)

Data for a relaxed structure of LiSc4Si4O14. Values from VASP.

Geometry as Quantum ESPRESSO input:
```
&SYSTEM
  ibrav = 0, nat = 23, ntyp = 4
/
ATOMIC_SPECIES
Sc 44.96 Sc.upf
O 16.00 O.upf
Si 28.09 Si.upf
Li 6.94 Li.upf
ATOMIC_POSITIONS crystal
Sc 0.002 0.002 0.002
Sc 0.975 0.512 0.975
Sc 0.512 0.975 0.975
Sc 0.975 0.975 0.512
O 0.883 0.883 0.883
O 0.128 0.128 0.128
O 0.822 0.822 0.426
O 0.183 0.183 0.575
O 0.426 0.822 0.822
O 0.576 0.576 0.174
O 0.426 0.828 0.426
O 0.822 0.426 0.822
O 0.426 0.426 0.828
O 0.576 0.174 0.576
O 0.183 0.575 0.183
O 0.174 0.576 0.576
O 0.575 0.183 0.183
O 0.828 0.426 0.426
Si 0.501 0.501 0.998
Si 0.998 0.501 0.501
Si 0.504 0.504 0.504
Si 0.501 0.998 0.501
Li 0.243 0.243 0.243
CELL_PARAMETERS angstrom
-6.005 -0.533 3.086
-1.833 -5.685 3.194
-0.486 -0.254 6.751
```

Properties
Electronic total energy   -8.0199 eV per atom
Symmetry   No. 160

Entry 2:
## LiSc4Si4O14 (PBE)

Data for a relaxed structure of LiSc4Si4O14. Values from VASP.

Geometry as Quantum ESPRESSO input:
```
&SYSTEM
  ibrav = 0, nat = 23, ntyp = 4
/
ATOMIC_SPECIES
Sc 44.96 Sc.upf
Si 28.09 Si.upf
Li 6.94 Li.upf
O 16.00 O.upf
ATOMIC_POSITIONS crystal
Sc 0.000 0.000 0.000
Sc 0.000 0.500 0.000
Sc 0.500 0.000 0.000
Sc 0.000 0.000 0.500
Si 0.494 0.494 0.494
Si 0.020 0.493 0.493
Si 0.494 0.494 0.019
Si 0.493 0.020 0.493
Li 0.626 0.626 0.624
O 0.179 0.179 0.571
O 0.571 0.571 0.179
O 0.428 0.428 0.822
O 0.571 0.180 0.179
O 0.823 0.823 0.427
O 0.823 0.428 0.427
O 0.823 0.428 0.822
O 0.125 0.125 0.125
O 0.571 0.180 0.571
O 0.180 0.571 0.571
O 0.428 0.823 0.427
O 0.875 0.875 0.875
O 0.180 0.571 0.179
O 0.428 0.823 0.822
CELL_PARAMETERS angstrom
5.816 -0.006 3.357
1.933 5.485 3.357
0.000 0.000 6.713
```

Properties
Electronic total energy   -7.9743 eV per atom
Symmetry   No. 44

Entry 3:
## LiScSi2O6 (PBE)

Data for a relaxed structure of LiScSi2O6. Values from VASP.

Geometry as Quantum ESPRESSO input:
```
&SYSTEM
  ibrav = 0, nat = 40, ntyp = 4
/
ATOMIC_SPECIES
O 16.00 O.upf
Si 28.09 Si.upf
Sc 44.96 Sc.upf
Li 6.94 Li.upf
ATOMIC_POSITIONS crystal
O 0.998 0.291 0.879
O 0.002 0.709 0.121
O 0.995 0.735 0.625
O 0.836 0.779 0.370
O 0.738 0.519 0.894
O 0.498 0.209 0.121
O 0.770 0.433 0.600
O 0.270 0.067 0.400
O 0.730 0.933 0.600
O 0.667 0.704 0.128
O 0.333 0.296 0.872
O 0.664 0.279 0.370
O 0.833 0.204 0.128
O 0.762 0.019 0.894
O 0.167 0.796 0.872
O 0.336 0.721 0.630
O 0.230 0.567 0.400
O 0.502 0.791 0.879
O 0.238 0.981 0.106
O 0.164 0.221 0.630
O 0.495 0.765 0.375
O 0.505 0.235 0.625
O 0.262 0.481 0.106
O 0.005 0.265 0.375
Si 0.164 0.279 0.452
Si 0.664 0.761 0.951
Si 0.336 0.239 0.049
Si 0.836 0.261 0.951
Si 0.836 0.721 0.548
Si 0.164 0.739 0.049
Si 0.336 0.779 0.452
Si 0.664 0.221 0.548
Sc 0.142 0.510 0.749
Sc 0.358 0.010 0.749
Sc 0.858 0.490 0.251
Sc 0.642 0.990 0.251
Li 0.500 0.492 0.247
Li 0.000 0.992 0.247
Li 0.000 0.008 0.753
Li 0.500 0.508 0.753
CELL_PARAMETERS angstrom
9.062 0.000 0.000
0.000 5.399 0.000
0.000 1.901 9.308
```

Properties
Electronic total energy   -7.8066 eV per atom
Symmetry   No. 14

Entry 4:
## LiScSi2O6 (PBE)

Data for a relaxed structure of LiScSi2O6. Values from VASP.

Geometry as Quantum ESPRESSO input:
```
&SYSTEM
  ibrav = 0, nat = 40, ntyp = 4
/
ATOMIC_SPECIES
O 16.00 O.upf
Sc 44.96 Sc.upf
Li 6.94 Li.upf
Si 28.09 Si.upf
ATOMIC_POSITIONS crystal
O 0.334 0.716 0.629
O 0.333 0.290 0.871
O 0.238 0.556 0.397
O 0.502 0.228 0.622
O 0.749 0.040 0.895
O 0.262 0.056 0.397
O 0.998 0.728 0.622
O 0.834 0.784 0.371
O 0.167 0.790 0.871
O 0.001 0.720 0.121
O 0.249 0.460 0.105
O 0.762 0.444 0.603
O 0.738 0.944 0.603
O 0.002 0.272 0.378
O 0.166 0.216 0.629
O 0.751 0.540 0.895
O 0.499 0.220 0.121
O 0.999 0.280 0.879
O 0.666 0.284 0.371
O 0.833 0.210 0.129
O 0.498 0.772 0.378
O 0.251 0.960 0.105
O 0.667 0.710 0.129
O 0.501 0.780 0.879
Sc 0.644 0.997 0.250
Sc 0.144 0.503 0.750
Sc 0.856 0.497 0.250
Sc 0.356 0.003 0.750
Li 0.004 0.997 0.250
Li 0.504 0.503 0.750
Li 0.496 0.497 0.250
Li 0.996 0.003 0.750
Si 0.836 0.726 0.549
Si 0.336 0.774 0.451
Si 0.836 0.268 0.951
Si 0.336 0.232 0.049
Si 0.664 0.768 0.951
Si 0.164 0.274 0.451
Si 0.664 0.226 0.549
Si 0.164 0.732 0.049
CELL_PARAMETERS angstrom
-8.770 2.127 -0.647
-1.226 -4.022 3.401
0.437 4.365 8.424
```

Properties
Electronic total energy   -7.8059 eV per atom
Symmetry   No. 14

Entry 5:
## LiScSi2O6 (PBE)

Data for a relaxed structure of LiScSi2O6. Values from VASP.

Geometry as Quantum ESPRESSO input:
```
&SYSTEM
  ibrav = 0, nat = 20, ntyp = 4
/
ATOMIC_SPECIES
Si 28.09 Si.upf
O 16.00 O.upf
Sc 44.96 Sc.upf
Li 6.94 Li.upf
ATOMIC_POSITIONS crystal
Si 0.212 0.385 0.222
Si 0.788 0.615 0.778
Si 0.615 0.788 0.278
Si 0.385 0.212 0.722
O 0.620 0.125 0.655
O 0.964 0.795 0.658
O 0.125 0.620 0.155
O 0.380 0.875 0.345
O 0.651 0.643 0.560
O 0.875 0.380 0.845
O 0.036 0.205 0.342
O 0.349 0.357 0.440
O 0.357 0.349 0.940
O 0.643 0.651 0.060
O 0.795 0.964 0.158
O 0.205 0.036 0.842
Sc 0.108 0.892 0.250
Sc 0.892 0.108 0.750
Li 0.248 0.752 0.750
Li 0.752 0.248 0.250
CELL_PARAMETERS angstrom
-5.384 -3.947 0.854
0.516 -3.059 -5.973
2.005 -4.908 1.094
```

Properties
Electronic total energy   -7.8066 eV per atom
Symmetry   No. 15

Entry 6:
## Li2SeO4 (PBE)

Data for a relaxed structure of Li2SeO4. Values from VASP.

Geometry as Quantum ESPRESSO input:
```
&SYSTEM
  ibrav = 0, nat = 42, ntyp = 3
/
ATOMIC_SPECIES
Li 6.94 Li.upf
Se 78.96 Se.upf
O 16.00 O.upf
ATOMIC_POSITIONS crystal
Li 0.892 0.296 0.064
Li 0.600 0.778 0.378
Li 0.378 0.600 0.778
Li 0.222 0.622 0.400
Li 0.778 0.378 0.600
Li 0.108 0.704 0.936
Li 0.704 0.936 0.108
Li 0.296 0.064 0.892
Li 0.936 0.108 0.704
Li 0.064 0.892 0.296
Li 0.622 0.400 0.222
Li 0.400 0.222 0.622
Se 0.264 0.448 0.040
Se 0.736 0.552 0.960
Se 0.960 0.736 0.552
Se 0.448 0.040 0.264
Se 0.552 0.960 0.736
Se 0.040 0.264 0.448
O 0.466 0.147 0.138
O 0.748 0.432 0.074
O 0.568 0.926 0.252
O 0.138 0.466 0.147
O 0.810 0.527 0.473
O 0.147 0.138 0.466
O 0.534 0.853 0.862
O 0.235 0.900 0.186
O 0.814 0.765 0.100
O 0.473 0.527 0.190
O 0.527 0.190 0.473
O 0.853 0.862 0.534
O 0.190 0.473 0.527
O 0.862 0.534 0.853
O 0.074 0.748 0.432
O 0.432 0.074 0.748
O 0.186 0.235 0.900
O 0.252 0.568 0.926
O 0.765 0.100 0.814
O 0.100 0.814 0.765
O 0.900 0.186 0.235
O 0.527 0.473 0.810
O 0.926 0.252 0.568
O 0.473 0.810 0.527
CELL_PARAMETERS angstrom
-2.546 5.608 6.306
-5.238 1.231 -6.981
-1.341 -8.190 2.969
```

Properties
Electronic total energy   -5.3307 eV per atom
Symmetry   No. 148

Entry 7:
## Li2SeO4 (PBE)

Data for a relaxed structure of Li2SeO4. Values from VASP.

Geometry as Quantum ESPRESSO input:
```
&SYSTEM
  ibrav = 0, nat = 42, ntyp = 3
/
ATOMIC_SPECIES
Li 6.94 Li.upf
O 16.00 O.upf
Se 78.96 Se.upf
ATOMIC_POSITIONS crystal
Li 0.371 0.241 0.592
Li 0.137 0.672 0.923
Li 0.166 0.492 0.475
Li 0.445 0.563 0.793
Li 0.266 0.122 0.841
Li 0.757 0.035 0.764
Li 0.724 0.873 0.147
Li 0.550 0.430 0.213
Li 0.629 0.763 0.400
Li 0.838 0.520 0.528
Li 0.854 0.317 0.078
Li 0.232 0.963 0.219
O 0.265 0.888 0.837
O 0.757 0.624 0.373
O 0.496 0.355 0.842
O 0.229 0.749 0.131
O 0.072 0.058 0.455
O 0.871 0.348 0.405
O 0.343 0.633 0.366
O 0.656 0.377 0.634
O 0.733 0.106 0.175
O 0.500 0.642 0.159
O 0.868 0.603 0.863
O 0.764 0.247 0.865
O 0.950 0.851 0.207
O 0.975 0.956 0.526
O 0.134 0.664 0.598
O 0.129 0.394 0.143
O 0.509 0.807 0.734
O 0.243 0.380 0.624
O 0.490 0.186 0.279
O 0.378 0.020 0.617
O 0.215 0.501 0.856
O 0.038 0.140 0.778
O 0.773 0.488 0.143
O 0.649 0.996 0.410
Se 0.294 0.602 0.197
Se 0.687 0.159 0.318
Se 0.701 0.396 0.803
Se 0.074 0.340 0.720
Se 0.919 0.657 0.272
Se 0.319 0.843 0.695
CELL_PARAMETERS angstrom
-3.482 -5.348 -5.114
3.962 -3.145 6.859
-8.137 2.932 5.553
```

Properties
Electronic total energy   -5.2010 eV per atom
Symmetry   No. 1

Entry 8:
## Li2SeO4 (PBE)

Data for a relaxed structure of Li2SeO4. Values from VASP.

Geometry as Quantum ESPRESSO input:
```
&SYSTEM
  ibrav = 0, nat = 42, ntyp = 3
/
ATOMIC_SPECIES
O 16.00 O.upf
Se 78.96 Se.upf
Li 6.94 Li.upf
ATOMIC_POSITIONS crystal
O 0.145 0.812 0.795
O 0.188 0.805 0.140
O 0.178 0.216 0.857
O 0.521 0.143 0.144
O 0.428 0.795 0.415
O 0.181 0.531 0.191
O 0.257 0.537 0.894
O 0.066 0.025 0.479
O 0.969 0.283 0.651
O 0.658 0.596 0.302
O 0.745 0.458 0.107
O 0.499 0.221 0.821
O 0.496 0.852 0.847
O 0.815 0.775 0.138
O 0.775 0.368 0.389
O 0.335 0.397 0.693
O 0.886 0.211 0.222
O 0.929 0.973 0.516
O 0.815 0.204 0.866
O 0.819 0.474 0.810
O 0.215 0.627 0.611
O 0.575 0.208 0.589
O 0.499 0.781 0.180
O 0.029 0.714 0.349
Se 0.809 0.634 0.220
Se 0.290 0.821 0.708
Se 0.319 0.727 0.230
Se 0.681 0.278 0.775
Se 0.723 0.182 0.293
Se 0.188 0.361 0.779
Li 0.920 0.345 0.090
Li 0.567 0.365 0.225
Li 0.898 0.105 0.739
Li 0.144 0.575 0.403
Li 0.856 0.423 0.596
Li 0.435 0.629 0.774
Li 0.596 0.886 0.054
Li 0.379 0.117 0.940
Li 0.340 0.206 0.614
Li 0.083 0.659 0.912
Li 0.659 0.789 0.383
Li 0.090 0.894 0.259
CELL_PARAMETERS angstrom
-6.402 5.324 -2.034
0.270 -2.330 9.343
8.571 5.087 -0.373
```

Properties
Electronic total energy   -5.1166 eV per atom
Symmetry   No. 1

The evaluated formation energy from the elements for the records listed, in turn: -3.30; -3.25; -3.34; -3.34; -3.34; -1.85; -1.42; -1.34 eV/atom.